one | A relaxed Ba2PrMgNbO6 crystal, computed with PBE-GGA.

Properties
V, Å³/cell: 188.1

Cell lengths 6.0616, 6.0636, 6.5001 Å; angles 67.53, 67.46, 61.60 degrees
With the nearest neighbours (Å) after each atom.
Atoms (fractional coordinates):
Ba  0.0000  0.0000  0.0000  3 O 2.60-2.76
Ba  0.3813  0.3783  0.7839  3 O 2.60-2.77
Pr  0.1931  0.1914  0.3904  4 O 2.37
Mg  0.6906  0.6889  0.3921  4 O 2.10
Nb  0.6905  0.6888  0.8922  6 O 2.03-2.16
O  0.4469  0.8833  0.6536  1 Mg 2.10, 1 Nb 2.16
O  0.4739  0.4708  0.0947  1 Nb 2.05
O  0.4961  0.9310  0.1315  1 Mg 2.10, 1 Nb 2.16
O  0.8838  0.4459  0.6531  1 Mg 2.10, 1 Nb 2.16
O  0.9051  0.9051  0.6919  1 Nb 2.03
O  0.9332  0.4933  0.1310  1 Mg 2.10, 1 Nb 2.16

=====

two | A relaxed Ba2PrMgNbO6 crystal, computed with PBE-GGA.

Properties
V, Å³/cell: 192.8

Cell lengths 7.0791, 7.0791, 7.0791 Å; angles 50.20, 50.20, 50.20 degrees
With the nearest neighbours (Å) after each atom.
Atoms (fractional coordinates):
Ba  0.0000  0.0000  0.0000  3 O 2.60
Ba  0.4163  0.4163  0.4163  6 O 2.84-2.85
Pr  0.2035  0.2035  0.2035  6 O 2.47-2.70
Mg  0.8277  0.8277  0.8277  3 O 2.00
Nb  0.6811  0.6811  0.6811  3 O 1.95
O  0.4535  0.4788  0.9563  1 Nb 1.95
O  0.4540  0.9479  0.8919  1 Mg 2.00
O  0.4788  0.9563  0.4535  1 Nb 1.95
O  0.8919  0.4540  0.9479  1 Mg 2.00
O  0.9479  0.8919  0.4540  1 Mg 2.00
O  0.9563  0.4535  0.4788  1 Nb 1.95

=====

Energies in meV per atom, measured from the most stable structure: one 108; two 0.